Here is a geometry-optimized CeCuGe structure from Materials Project. Energies are from PBE.

Cell: 4.201 4.201 4.043 Å, 90.00 90.00 120.00°
Fractional positions:
Ce (0.000, 0.000, 0.000)
Cu (0.333, 0.667, 0.500)
Ge (0.667, 0.333, 0.500)

Summary:
- ΔH_f (0 K): -13.18 kcal/mol of atoms
- Space-group type: P-6m2 (187)